Record 1
Entry from Materials Project: a geometry-optimized Dy2TeO6 structure (r²SCAN).

The structure in extended XYZ format:
```
36
Lattice="5.253 0.000 0.000 0.000 9.056 0.000 0.000 0.000 9.913" Properties=species:S:1:pos:R:3 pbc="T T T"
O 3.910 5.301 9.854
Dy 5.053 7.090 8.578
O 3.839 1.034 5.649
O 1.641 1.274 7.553
Dy 5.146 8.113 4.583
O 3.068 7.659 5.237
Te 2.420 9.012 6.426
O 0.985 7.781 2.596
O 0.441 5.925 4.676
O 1.414 5.562 9.221
Te 2.834 4.484 8.444
Dy 0.200 2.562 6.292
O 1.343 0.773 5.015
O 0.880 4.996 1.997
O 4.812 1.397 0.280
O 4.299 3.259 8.138
O 3.612 5.802 7.317
Dy 0.108 3.585 0.374
O 4.268 3.254 2.360
Dy 2.519 5.471 5.330
Dy 2.426 6.494 1.335
Dy 2.827 1.966 3.621
O 1.672 1.269 1.775
O 4.373 0.468 2.960
O 2.185 3.131 9.633
O 1.746 4.060 6.953
O 3.970 3.755 4.898
O 3.581 5.797 3.182
O 3.507 8.588 7.916
O 1.213 3.493 4.264
O 1.284 8.283 0.059
Te 0.207 0.043 1.469
O 4.041 8.021 0.692
Dy 2.734 0.943 9.539
O 0.954 7.787 6.731
Te 5.046 4.571 3.487
```

Calculated values
Its excess energy over the best structure of this formula in the dataset is 0.00 eV per formula unit. The calculated formation energy comes out at -2.849 eV/atom. The calculation puts the energy at -16.76 eV per atom. The space-group type is No. 19.


Record 2
Entry from Materials Project: a geometry-optimized Lu5Si3 structure (r²SCAN).

The structure in extended XYZ format:
```
16
Lattice="8.189 0.000 0.000 -4.095 7.092 0.000 0.000 0.000 6.155" Properties=species:S:1:pos:R:3 pbc="T T T"
Si 4.958 0.000 1.539
Si -1.616 2.798 4.616
Lu 1.980 0.000 1.539
Lu 3.105 5.377 1.539
Lu 4.095 2.364 3.077
Si 3.231 0.000 4.616
Lu -0.990 1.715 1.539
Lu 0.000 4.728 0.000
Si 1.616 2.798 1.539
Lu 4.095 2.364 0.000
Lu 0.000 4.728 3.077
Si 2.479 4.294 4.616
Si -2.479 4.294 1.539
Lu 6.209 0.000 4.616
Lu 0.990 1.715 4.616
Lu -3.105 5.377 4.616
```

Calculated values
The calculated formation energy comes out at -0.785 eV/atom. The calculation puts the energy at -27.88 eV per atom. The space-group type is No. 193.


Record 3
Entry from Materials Project: a geometry-optimized Ba3Te4O11 structure (r²SCAN).

The structure in extended XYZ format:
```
36
Lattice="7.986 -0.050 0.006 -2.123 9.248 0.010 -3.646 -2.230 9.127" Properties=species:S:1:pos:R:3 pbc="T T T"
Ba -1.201 3.614 5.747
O 1.130 4.828 3.265
Ba -0.355 3.352 1.626
O 3.549 0.904 8.142
O -0.647 0.161 1.424
O 3.156 5.354 5.341
Te 6.020 0.379 2.732
Te 1.124 6.418 4.231
Ba 0.181 7.121 8.117
Te 2.556 6.232 0.559
O -2.069 4.721 3.384
O 1.087 2.139 5.879
O 2.863 6.806 7.720
O 0.030 4.301 8.231
O -1.333 6.063 1.001
O 2.187 2.667 0.912
O 1.986 1.097 3.397
Te -0.339 0.736 8.584
Te -2.211 6.400 2.603
Ba 2.571 3.615 7.517
O -0.198 -1.023 7.989
O -2.888 5.262 7.352
O 2.686 -0.221 5.809
O 4.286 2.247 5.759
O 5.105 1.706 1.791
Ba 3.418 3.353 3.396
Te -3.804 6.588 6.411
O 0.230 5.871 5.747
O 2.415 7.991 1.155
Ba 2.035 -0.154 1.027
O -1.647 1.431 7.414
O 3.863 5.537 1.730
Te 1.093 0.549 4.913
O -0.940 1.613 3.802
Te 4.427 0.567 6.541
O -0.470 7.188 3.334
```

Calculated values
The calculated formation energy comes out at -1.956 eV/atom. The calculation puts the energy at -15.67 eV per atom. The space-group type is No. 2.


Record 4
Entry from Materials Project: a geometry-optimized HoCoNi structure (r²SCAN).

The structure in extended XYZ format:
```
6
Lattice="-2.410 2.533 3.665 2.411 -2.531 3.664 2.410 2.532 -3.663" Properties=species:S:1:pos:R:3 pbc="T T T"
Ni 2.410 0.000 0.000
Ni 0.000 0.001 3.664
Co 1.205 1.266 -1.832
Ho 0.000 1.266 0.886
Co 1.205 -1.265 1.832
Ho 2.411 1.268 2.779
```

Calculated values
The calculated formation energy comes out at -0.271 eV/atom. The calculation puts the energy at -19.64 eV per atom. The space-group type is No. 74.


Record 5
Entry from Materials Project: a geometry-optimized CdSiO3 structure (r²SCAN).

The structure in extended XYZ format:
```
60
Lattice="-1.991 -6.945 0.945 5.750 -1.130 3.815 -6.457 3.643 13.164" Properties=species:S:1:pos:R:3 pbc="T T T"
O -2.907 -0.762 9.393
O -5.214 -2.047 9.332
Si -1.683 1.836 14.965
O 0.358 -1.572 10.052
O -1.337 -3.634 5.522
O -1.493 -2.098 2.544
Si 0.951 -0.376 6.169
Si 0.061 -5.186 9.091
O -3.520 -3.598 15.351
Cd -1.865 -1.476 6.567
O 2.371 -0.867 5.581
O -1.205 -2.334 15.380
O -6.767 -2.721 14.683
Si 0.119 -2.289 2.418
O -0.880 -5.892 7.937
O 0.400 -1.421 7.338
O 3.131 -5.134 3.709
Cd -2.880 -4.879 7.049
Cd -1.798 0.043 3.476
Cd 2.926 -3.066 4.524
O -2.083 0.683 7.388
Cd -5.529 0.110 10.297
O -1.360 -0.798 12.402
O -0.074 -5.548 4.101
O 0.823 -0.834 2.573
Si -3.649 -4.056 11.755
Si 0.084 -4.117 4.934
O -3.332 -1.361 14.150
O -5.068 -3.565 12.343
O 4.069 -1.711 3.241
O -0.330 -0.148 5.222
Si -3.603 -2.215 9.238
O 1.523 -5.901 9.036
O -4.221 1.469 8.888
O -5.828 0.703 14.215
Cd -5.624 -1.366 13.400
O -4.057 -0.067 12.041
O -3.097 -3.010 10.586
O 0.210 -3.669 8.531
O 0.634 -3.070 3.774
Cd -0.832 -2.956 11.357
O -0.232 1.110 14.946
Si -2.759 0.755 8.833
O -2.623 1.116 13.823
Cd 0.183 0.448 10.876
O -2.466 -5.542 2.978
O 2.517 -2.385 8.592
Cd 2.831 -4.542 7.627
Cd -0.900 -4.474 14.448
O -1.818 1.460 9.987
Si -1.014 -6.268 2.959
O -2.367 -4.284 12.702
O 1.360 -4.365 5.883
Cd 1.879 -6.581 5.021
O -3.056 -2.859 7.872
Si -2.781 -0.314 12.990
Si -2.817 -2.143 15.507
Si 0.905 -2.217 8.686
Cd -4.576 2.150 12.903
O -0.614 -5.115 10.536
```

Calculated values
The calculated formation energy comes out at -2.367 eV/atom. The calculation puts the energy at -11.73 eV per atom. The space-group type is No. 14.


Record 6
Entry from Materials Project: a geometry-optimized Yb3Lu structure (r²SCAN).

The structure in extended XYZ format:
```
8
Lattice="-1.662 2.283 6.481 -4.474 1.047 -5.372 -2.404 -4.786 1.069" Properties=species:S:1:pos:R:3 pbc="T T T"
Yb -2.374 -0.465 -0.445
Yb -4.605 0.057 -3.124
Lu -3.201 0.675 2.797
Lu -5.340 -2.130 -0.619
Yb -3.935 -1.513 5.302
Yb -6.166 -0.991 2.623
Yb -3.106 -2.651 2.070
Yb -5.435 1.196 0.108
```

Calculated values
The calculated formation energy comes out at -0.012 eV/atom. The calculation puts the energy at -36.93 eV per atom. The space-group type is No. 194.


Repeat the fourth record exactly.
Entry from Materials Project: a geometry-optimized HoCoNi structure (r²SCAN).

The structure in extended XYZ format:
```
6
Lattice="-2.410 2.533 3.665 2.411 -2.531 3.664 2.410 2.532 -3.663" Properties=species:S:1:pos:R:3 pbc="T T T"
Ni 2.410 0.000 0.000
Ni 0.000 0.001 3.664
Co 1.205 1.266 -1.832
Ho 0.000 1.266 0.886
Co 1.205 -1.265 1.832
Ho 2.411 1.268 2.779
```

Calculated values
The calculated formation energy comes out at -0.271 eV/atom. The calculation puts the energy at -19.64 eV per atom. The space-group type is No. 74.